1.
KMnPO3F3: optimized geometry, GGA+U.

Properties
* calculated total energy: -6.2493 eV/atom
* space-group type: P2_1/c, No. 14
* DFT formation energy: -2.79 eV/atom
* ρ: 2.99 g/cm3

POSCAR file:
```
KMnPO3F3
1.0
12.8740 0.0000 0.0000
0.0000 5.5179 0.0000
0.0000 3.2349 7.1852
K Mn P O F
4 4 4 12 12
Cartesian
2.5816 6.1924 5.8282 K
3.8554 4.5749 2.2356 K
10.2924 2.5605 1.3570 K
9.0186 4.1780 4.9496 K
0.0000 4.3764 3.5926 Mn
6.4370 2.7590 0.0000 Mn
0.0000 0.0000 0.0000 Mn
6.4370 1.6175 3.5926 Mn
1.3746 1.7138 2.2604 P
5.0624 3.3313 5.8530 P
11.4994 7.0391 4.9248 P
7.8116 5.4216 1.3322 P
1.4786 6.0334 3.1863 O
4.9584 7.6509 6.7789 O
11.3954 2.7194 3.9989 O
7.9156 1.1020 0.4063 O
0.3559 1.5877 1.1184 O
6.0811 3.2052 4.7110 O
12.5181 7.1651 6.0668 O
6.7929 5.5476 2.4742 O
1.3175 3.0651 2.9740 O
5.1195 4.6825 6.5667 O
11.5565 5.6878 4.2112 O
7.7545 4.0703 0.6186 O
0.7124 4.2489 5.3377 F
5.7246 2.6315 1.7451 F
12.1616 4.5039 1.8475 F
7.1494 6.1214 5.4401 F
1.7343 4.9025 0.2726 F
4.7027 6.5200 3.8652 F
11.1397 3.8503 6.9126 F
8.1713 2.2329 3.3200 F
2.7989 1.8234 1.5204 F
3.6381 3.4408 5.1130 F
10.0751 6.9295 5.6648 F
9.2359 5.3120 2.0722 F
```



2.
Li24Mn7Cr5O36: optimized geometry, GGA+U.

Properties
* calculated total energy: -6.2276 eV/atom
* space-group type: P1, No. 1
* DFT formation energy: -2.20 eV/atom
* ρ: 3.67 g/cm3

POSCAR file:
```
Li24Mn7Cr5O36
1.0
5.0175 0.0000 0.0000
-0.8306 9.7099 0.0000
-2.4670 -1.8664 12.8913
Li Mn Cr O
24 7 5 36
Cartesian
-2.0243 8.1554 10.7295 Li
-2.1014 8.5633 7.9184 Li
-1.2399 6.8141 3.2284 Li
-1.1964 5.5652 11.8230 Li
-0.4536 4.6402 1.4458 Li
-0.4097 3.3989 10.0375 Li
-0.4159 4.2369 4.2961 Li
-0.3578 2.9931 12.8906 Li
-0.3574 3.8282 7.1572 Li
0.4351 1.6507 5.3667 Li
0.4537 8.7729 6.4446 Li
0.4590 9.6078 0.6900 Li
0.4846 8.3543 9.2732 Li
0.4071 9.1796 3.6105 Li
1.2466 -1.7527 12.2114 Li
1.2763 6.1984 7.5311 Li
2.0768 4.0204 5.7260 Li
2.1292 3.6032 8.5949 Li
2.1496 4.4516 2.8620 Li
2.1407 3.1953 11.4467 Li
2.9330 2.2722 1.0702 Li
3.7648 -0.3086 2.1477 Li
2.9524 1.0316 9.6503 Li
3.8149 -0.7190 4.9817 Li
-1.2043 6.0131 8.9540 Mn
0.4533 0.8281 11.1037 Mn
1.2574 7.0250 1.7918 Mn
1.2698 6.5955 4.6381 Mn
2.9491 1.8654 3.9473 Mn
2.9433 1.4346 6.8019 Mn
3.7609 7.2174 0.3699 Mn
-2.0657 0.5953 12.5044 Cr
-1.2659 6.4014 6.0992 Cr
0.4610 2.0736 2.5128 Cr
0.4266 1.2369 8.2148 Cr
1.3179 5.7728 10.4089 Cr
1.9884 6.6312 11.9641 O
-2.1393 4.7216 10.1075 O
-1.3474 2.7117 5.5335 O
-1.1931 2.3257 8.2809 O
-1.1570 1.8787 11.3855 O
-0.4945 7.2693 7.7036 O
-0.4699 0.7943 3.6613 O
-0.4591 0.3642 6.7543 O
-0.4058 -0.4712 12.2544 O
-0.3458 8.0986 1.8458 O
-0.3274 7.6746 4.9288 O
-0.3133 6.8520 10.4338 O
-0.2426 -0.0293 9.5064 O
0.3607 6.1566 0.3020 O
0.3780 5.3365 5.8127 O
0.3865 4.9094 8.9033 O
0.5470 5.7539 3.0599 O
0.5702 4.4939 11.6928 O
1.1074 3.3370 1.2468 O
1.1699 2.0966 9.8337 O
1.3363 2.9344 4.0064 O
1.3403 2.5042 7.0917 O
1.3263 1.7005 12.5824 O
1.9863 7.8760 3.3759 O
2.0539 0.9812 2.4694 O
2.0842 0.1546 7.9607 O
2.0718 -0.2551 11.0512 O
2.1554 8.2949 0.6212 O
2.1936 7.4789 6.1176 O
2.2103 7.0709 9.1965 O
2.2203 0.5876 5.2165 O
2.8726 5.9584 1.5350 O
2.8633 5.5201 4.5790 O
-1.9221 5.1377 7.3587 O
3.8134 3.1392 2.7822 O
-0.2720 1.1985 0.8962 O
```



3.
LiMnSiO4: optimized geometry, GGA+U.

Properties
* calculated total energy: -7.1672 eV/atom
* DFT formation energy: -2.61 eV/atom
* ρ: 3.59 g/cm3

POSCAR file:
```
LiMnSiO4
1.0
-1.3461 -0.3719 4.7118
9.0863 1.1624 1.2915
-0.8377 6.2642 0.2552
Li Mn Si O
4 4 4 16
Cartesian
0.1962 4.7058 2.7111 Li
4.0663 5.1010 5.7128 Li
2.8363 1.9537 0.5457 Li
6.7064 2.3490 3.5473 Li
3.8701 0.3953 3.0018 Mn
3.4512 3.5273 3.1291 Mn
-2.1835 5.8923 4.9668 Mn
8.6671 4.2945 1.4192 Mn
0.6645 1.5742 2.7334 Si
5.8806 2.3414 1.0233 Si
1.0219 4.7134 5.2352 Si
6.2380 5.4806 3.5250 Si
1.9425 4.8927 3.8549 O
7.1586 5.6599 2.1447 O
2.2238 1.7596 3.3012 O
7.4400 2.5267 1.5910 O
-0.5375 4.5280 4.6674 O
4.6787 5.2952 2.9573 O
-0.2561 1.3949 4.1137 O
4.9601 2.1620 2.4036 O
0.5566 0.2341 1.8038 O
4.4267 0.6294 4.8055 O
0.1989 2.9088 1.9127 O
4.0690 3.3041 4.9143 O
2.8335 3.7506 1.3440 O
6.7036 4.1459 4.3457 O
2.4759 6.4253 1.4530 O
6.3459 6.8206 4.4546 O
```



4.
SrSmCoO4: optimized geometry, GGA+U.

Properties
* calculated total energy: -6.8517 eV/atom
* space-group type: I4mm, No. 107
* DFT formation energy: -2.72 eV/atom
* ρ: 6.64 g/cm3

POSCAR file:
```
SrSmCoO4
1.0
5.1862 3.8516 2.0716
1.9368 2.3089 6.0779
-2.0659 -5.2891 -3.7122
Sr Sm Co O
1 1 1 4
Cartesian
4.5875 3.9676 5.2486 Sr
2.5712 2.2238 2.9417 Sm
0.0099 0.0086 0.0114 Co
5.9643 5.1583 6.8237 O
1.2570 1.0872 1.4382 O
5.0497 2.2992 3.1721 O
3.4250 1.5279 5.1753 O
```